1.
Computed, not measured: a geometry-optimized K2RbScCl6 structure at the PBE level of DFT.

Cell lengths 7.893, 7.893, 7.893 Å; angles 60.00, 60.00, 60.00 degrees
Element x y z (fractional)
K 0.250 0.250 0.250
K 0.750 0.750 0.750
Rb 0.000 0.000 0.000
Sc 0.500 0.500 0.500
Cl 0.277 0.277 0.723
Cl 0.277 0.723 0.277
Cl 0.277 0.723 0.723
Cl 0.723 0.277 0.277
Cl 0.723 0.277 0.723
Cl 0.723 0.723 0.277

Calculated values
* calculated formation energy: -2264 kJ/mol of formula units
* symmetry: No. 225
* crystal system: cubic
* magnetic moment: 0.0 μB/f.u.
* energy with MP2020 corrections: -0.324 Ry/atom

2.
Computed, not measured: a geometry-optimized Na4GaSi2GePO12 structure at the PBE level of DFT.

Cell lengths 8.847, 8.847, 21.662 Å; angles 90.73, 89.27, 120.01 degrees
Element x y z (fractional)
Na 0.636 0.005 0.250
Na 0.371 0.368 0.247
Na 0.992 0.625 0.250
Na 0.632 0.629 0.747
Na 0.995 0.364 0.750
Na 0.375 0.008 0.750
Na 0.303 0.338 0.584
Na 0.038 0.701 0.580
Na 0.658 0.958 0.584
Na 0.299 0.962 0.080
Na 0.662 0.697 0.084
Na 0.042 0.342 0.084
Na 0.969 0.671 0.917
Na 0.705 0.034 0.913
Na 0.325 0.292 0.917
Na 0.966 0.295 0.413
Na 0.329 0.031 0.417
Na 0.708 0.675 0.417
Na 0.997 0.995 0.498
Na 0.005 0.003 0.998
Na 0.663 0.328 0.831
Na 0.672 0.337 0.331
Na 0.330 0.662 0.165
Na 0.338 0.670 0.665
Ga 0.990 0.993 0.352
Ga 0.007 0.010 0.852
Ga 0.656 0.326 0.685
Ga 0.674 0.344 0.185
Ga 0.323 0.660 0.018
Ga 0.340 0.677 0.518
Si 0.708 0.711 0.251
Si 0.001 0.289 0.251
Si 0.289 0.292 0.751
Si 0.711 0.999 0.751
Si 0.375 0.044 0.584
Si 0.668 0.623 0.585
Si 0.956 0.625 0.084
Si 0.377 0.332 0.085
Si 0.041 0.378 0.917
Si 0.335 0.956 0.918
Si 0.622 0.959 0.417
Si 0.044 0.665 0.418
Ge 0.998 0.998 0.648
Ge 0.002 0.002 0.148
Ge 0.665 0.331 0.981
Ge 0.669 0.335 0.481
Ge 0.332 0.664 0.315
Ge 0.336 0.668 0.815
P 0.287 0.997 0.251
P 0.003 0.713 0.751
P 0.953 0.331 0.584
P 0.669 0.047 0.084
P 0.620 0.664 0.917
P 0.336 0.380 0.417
O 0.208 0.034 0.308
O 0.830 0.787 0.311
O 0.968 0.172 0.312
O 0.213 0.170 0.811
O 0.966 0.792 0.808
O 0.828 0.032 0.812
O 0.796 0.955 0.689
O 0.159 0.205 0.690
O 0.040 0.831 0.692
O 0.795 0.841 0.190
O 0.045 0.204 0.189
O 0.169 0.960 0.192
O 0.875 0.367 0.642
O 0.497 0.121 0.644
O 0.634 0.505 0.645
O 0.879 0.503 0.144
O 0.633 0.125 0.142
O 0.495 0.366 0.145
O 0.462 0.289 0.023
O 0.826 0.538 0.023
O 0.706 0.164 0.025
O 0.462 0.174 0.523
O 0.711 0.538 0.523
O 0.836 0.294 0.525
O 0.541 0.701 0.975
O 0.164 0.454 0.977
O 0.301 0.838 0.978
O 0.546 0.836 0.477
O 0.299 0.459 0.475
O 0.162 0.699 0.478
O 0.129 0.622 0.356
O 0.493 0.871 0.356
O 0.373 0.497 0.359
O 0.129 0.507 0.856
O 0.378 0.871 0.856
O 0.503 0.627 0.859
O 0.026 0.840 0.412
O 0.819 0.986 0.412
O 0.176 0.195 0.411
O 0.014 0.181 0.912
O 0.160 0.974 0.912
O 0.805 0.824 0.911
O 0.967 0.161 0.587
O 0.180 0.030 0.590
O 0.848 0.819 0.589
O 0.970 0.820 0.090
O 0.839 0.033 0.087
O 0.181 0.152 0.089
O 0.693 0.173 0.745
O 0.485 0.319 0.746
O 0.842 0.528 0.744
O 0.681 0.515 0.246
O 0.827 0.307 0.245
O 0.472 0.158 0.244
O 0.634 0.495 0.921
O 0.847 0.364 0.923
O 0.514 0.153 0.922
O 0.636 0.153 0.423
O 0.505 0.366 0.421
O 0.847 0.486 0.422
O 0.360 0.507 0.079
O 0.152 0.653 0.079
O 0.509 0.862 0.078
O 0.347 0.848 0.579
O 0.493 0.640 0.579
O 0.138 0.491 0.578
O 0.300 0.828 0.254
O 0.513 0.697 0.257
O 0.181 0.486 0.256
O 0.303 0.487 0.757
O 0.172 0.700 0.754
O 0.514 0.819 0.756

Calculated values
* calculated formation energy: -5192 kJ/mol of formula units
* magnetic moment: 0.0 μB/f.u.
* energy with MP2020 corrections: -0.498 Ry/atom

3.
Computed, not measured: a geometry-optimized Na3Nb4Si5PO24 structure at the PBE level of DFT.

Cell lengths 8.916, 8.958, 22.890 Å; angles 89.80, 89.96, 60.17 degrees
Element x y z (fractional)
Na 0.000 0.000 0.000
Na 0.000 0.006 0.501
Na 0.303 0.673 0.418
Na 0.334 0.334 0.333
Na 0.334 0.340 0.834
Na 0.660 0.680 0.169
Na 0.666 0.680 0.668
Na 0.698 0.342 0.584
Na 0.968 0.341 0.084
Nb 0.001 0.011 0.355
Nb 0.004 0.004 0.146
Nb 0.008 0.005 0.647
Nb 0.332 0.344 0.189
Nb 0.333 0.337 0.480
Nb 0.335 0.337 0.979
Nb 0.338 0.336 0.689
Nb 0.668 0.671 0.313
Nb 0.668 0.677 0.022
Nb 0.668 0.678 0.522
Nb 0.669 0.675 0.813
Nb 0.995 0.017 0.856
Si 0.001 0.297 0.250
Si 0.046 0.342 0.585
Si 0.049 0.631 0.083
Si 0.290 0.718 0.252
Si 0.291 0.007 0.752
Si 0.330 0.630 0.584
Si 0.339 0.050 0.085
Si 0.382 0.964 0.417
Si 0.620 0.340 0.084
Si 0.622 0.050 0.585
Si 0.668 0.963 0.917
Si 0.671 0.383 0.418
Si 0.712 0.297 0.750
Si 0.955 0.674 0.417
Si 0.956 0.387 0.918
P 0.002 0.721 0.752
P 0.380 0.674 0.917
P 0.713 0.007 0.251
O 0.020 0.173 0.591
O 0.023 0.822 0.092
O 0.026 0.173 0.307
O 0.027 0.807 0.806
O 0.135 0.503 0.140
O 0.138 0.370 0.642
O 0.147 0.368 0.924
O 0.149 0.508 0.424
O 0.160 0.040 0.092
O 0.161 0.820 0.592
O 0.162 0.540 0.744
O 0.168 0.032 0.808
O 0.168 0.310 0.527
O 0.168 0.537 0.026
O 0.171 0.807 0.310
O 0.175 0.312 0.244
O 0.192 0.841 0.195
O 0.193 0.975 0.410
O 0.197 0.978 0.694
O 0.199 0.835 0.910
O 0.298 0.178 0.028
O 0.304 0.542 0.525
O 0.306 0.180 0.744
O 0.311 0.527 0.244
O 0.359 0.154 0.424
O 0.363 0.511 0.924
O 0.365 0.144 0.142
O 0.368 0.503 0.640
O 0.466 0.701 0.972
O 0.468 0.837 0.474
O 0.480 0.702 0.257
O 0.481 0.836 0.758
O 0.493 0.373 0.424
O 0.494 0.647 0.863
O 0.498 0.154 0.925
O 0.500 0.145 0.642
O 0.500 0.370 0.141
O 0.501 0.869 0.360
O 0.504 0.859 0.076
O 0.507 0.642 0.577
O 0.520 0.318 0.744
O 0.529 0.311 0.027
O 0.533 0.170 0.245
O 0.533 0.178 0.528
O 0.633 0.511 0.362
O 0.639 0.868 0.860
O 0.641 0.861 0.578
O 0.648 0.507 0.077
O 0.693 0.487 0.759
O 0.694 0.840 0.974
O 0.695 0.845 0.257
O 0.698 0.472 0.477
O 0.801 0.033 0.305
O 0.806 0.173 0.807
O 0.810 0.038 0.592
O 0.815 0.174 0.092
O 0.827 0.981 0.196
O 0.830 0.205 0.692
O 0.830 0.488 0.258
O 0.834 0.703 0.474
O 0.838 0.193 0.410
O 0.838 0.473 0.976
O 0.838 0.702 0.758
O 0.843 0.977 0.910
O 0.851 0.506 0.578
O 0.858 0.508 0.861
O 0.860 0.641 0.077
O 0.863 0.644 0.360
O 0.971 0.207 0.192
O 0.973 0.834 0.696
O 0.978 0.194 0.910
O 0.981 0.842 0.410

Calculated values
* calculated formation energy: -10761 kJ/mol of formula units
* symmetry: No. 1
* crystal system: triclinic
* magnetic moment: 0.0 μB/f.u.
* energy with MP2020 corrections: -0.610 Ry/atom